[1]
A plane-wave DFT calculation with r²SCAN was carried out for a geometry-optimized InBiS3 structure.

Structure (POSCAR):
```
InBiS3
1.0
-0.8931 -3.4820 1.5233
6.1515 -2.0791 -1.1457
2.9787 3.1356 8.9137
S Bi In
6 2 2
Cartesian
7.5404 -1.8412 7.7167 S
4.9367 0.9173 7.4925 S
3.3005 -3.3427 1.7988 S
0.6967 -0.5842 1.5746 S
2.3915 -1.5346 5.3988 S
5.8457 -0.8908 3.8925 S
3.2614 -0.6061 3.0283 Bi
4.9757 -1.8193 6.2630 Bi
7.3897 0.6813 8.3914 In
0.8474 -3.1068 0.8999 In
```

Values from the calculation:
formation enthalpy at 0 K = -2.8 eV per formula unit
electronic total energy = -0.7938 hartree per atom

=====

[2]
A plane-wave DFT calculation with r²SCAN was carried out for a geometry-optimized NdP2H3O6 structure.

Structure (POSCAR):
```
NdP2H3O6
1.0
-7.5759 0.0000 3.5005
0.0087 0.0000 -8.8742
0.0000 -9.2239 0.0000
H P O Nd
12 8 24 4
Cartesian
-4.8329 -9.1780 -6.1116 H
-6.8115 -1.2612 -5.2418 H
-5.3985 -1.7472 1.1066 H
-4.8373 -4.6578 -1.6745 H
-2.7343 -0.0458 0.7378 H
-2.1687 -7.4767 -6.4804 H
-5.3942 -2.8648 -3.3305 H
-2.7299 -4.5661 -3.6993 H
-6.8158 -3.3508 -0.8047 H
-0.7557 -7.9627 -0.1319 H
-0.7514 -5.8731 -4.5691 H
-2.1730 -6.3591 -2.0433 H
-4.1933 -5.5709 -0.8377 P
-3.3783 -0.9589 -0.0989 P
-0.4011 -6.6422 -3.4570 P
-3.3739 -3.6530 -4.5361 P
-7.1661 -2.5817 -1.9168 P
-0.3967 -7.1936 -7.8941 P
-4.1889 -8.2649 -5.2748 P
-7.1705 -2.0302 2.5203 P
-4.8871 -3.7425 -4.2299 O
-5.8178 -2.1733 -2.6179 O
-2.6801 -5.4813 -1.1439 O
-4.7789 -6.9239 -1.1146 O
-7.1016 -8.0190 -3.5099 O
-4.7746 -6.9119 -5.5517 O
-3.2552 -4.1680 -5.9699 O
-0.1039 -1.2398 -4.9305 O
-2.6758 -8.3545 -5.5810 O
-7.4589 -5.8517 -4.8804 O
-7.1059 -5.8168 0.9272 O
-2.7926 -2.3119 0.1779 O
-4.8914 -0.8694 0.2072 O
-1.7451 -6.7852 -7.1930 O
-4.3120 -5.0559 0.5961 O
-7.4633 -7.9841 -0.4433 O
-0.4656 -1.2049 -1.8638 O
-5.8221 -2.4386 1.8192 O
-0.1083 -3.3721 -0.4934 O
-3.2596 -0.4440 -1.5328 O
-0.4613 -3.4070 -6.3010 O
-2.7883 -2.3000 -4.2592 O
-4.3076 -8.7799 -3.8410 O
-1.7494 -7.0506 -2.7559 O
-5.6883 -4.9190 2.5727 Nd
-1.8789 -4.3048 -7.9465 Nd
-5.6840 -8.9168 -1.8644 Nd
-1.8832 -0.3071 -3.5094 Nd
```

Values from the calculation:
formation enthalpy at 0 K = -26.2 eV per formula unit
electronic total energy = -0.3669 hartree per atom

=====

[3]
A plane-wave DFT calculation with r²SCAN was carried out for a geometry-optimized MnZnF6 structure.

Structure (POSCAR):
```
MnZnF6
1.0
-3.9150 1.9119 2.9493
-4.9493 -1.7818 -0.1038
-2.3072 -2.6119 3.9416
Zn F Mn
1 6 1
Cartesian
-5.5858 -1.2409 3.3936 Zn
-6.1117 -3.0268 4.1654 F
-5.0598 0.5450 2.6218 F
-6.1301 -0.3458 5.1149 F
-3.7131 -1.4780 4.0993 F
-7.4584 -1.0038 2.6879 F
-5.0414 -2.1360 1.6722 F
0.0000 0.0000 0.0000 Mn
```

Values from the calculation:
formation enthalpy at 0 K = -21.0 eV per formula unit
electronic total energy = -0.2909 hartree per atom

=====

[4]
A plane-wave DFT calculation with r²SCAN was carried out for a geometry-optimized Dy6Nb4Al43 structure.

Structure (POSCAR):
```
Dy6Nb4Al43
1.0
5.5157 -9.5534 0.0000
5.5157 9.5534 0.0000
0.0000 0.0000 17.7630
Al Dy Nb
86 12 8
Cartesian
7.1181 -3.8504 13.3222 Al
5.5157 -4.8246 8.8815 Al
3.4836 -1.5108 5.9938 Al
2.8172 0.0000 8.3552 Al
4.1377 4.2392 13.3223 Al
5.7401 1.4638 4.4407 Al
1.7551 0.0000 10.9279 Al
5.0823 -5.7811 2.8877 Al
6.8936 -4.2391 4.4407 Al
6.9361 -2.3644 8.8815 Al
0.8776 1.5200 2.0464 Al
6.3317 8.1400 13.3223 Al
6.9361 -2.3644 17.7629 Al
0.8776 1.5200 6.8352 Al
3.0501 2.2614 11.7692 Al
5.2912 -1.4638 13.3222 Al
9.2762 0.0000 2.0464 Al
7.5478 -1.5108 11.7692 Al
1.4087 -2.4399 9.4078 Al
9.3992 0.0000 13.3223 Al
4.0953 2.3644 17.7629 Al
4.1070 -7.1136 8.3552 Al
2.8173 0.0000 0.5264 Al
7.5478 1.5108 14.8752 Al
4.0952 -2.3644 8.8816 Al
5.5157 -3.1845 2.2198 Al
5.0823 -5.7811 5.9938 Al
5.5157 -4.8246 17.7629 Al
4.1070 -7.1136 0.5263 Al
4.6996 8.1399 4.4407 Al
5.2912 1.4638 13.3222 Al
5.5157 3.1845 6.6617 Al
5.5157 -3.1845 15.5431 Al
4.6381 -8.0335 10.9280 Al
5.5157 4.8246 8.8815 Al
6.3317 -8.1400 13.3222 Al
6.3932 8.0334 6.8351 Al
0.8776 -1.5200 2.0464 Al
3.9134 3.8504 4.4407 Al
3.4836 1.5108 2.8877 Al
4.1070 7.1136 0.5264 Al
1.6322 0.0000 4.4407 Al
5.9490 -5.7812 11.7692 Al
1.4087 2.4399 9.4079 Al
5.0823 5.7811 5.9938 Al
5.5157 4.8246 17.7629 Al
5.5157 -3.1845 11.1014 Al
7.9811 2.2614 2.8877 Al
5.7401 -1.4638 4.4407 Al
4.1377 -4.2392 13.3222 Al
1.4087 2.4399 17.2366 Al
5.9491 5.7812 14.8752 Al
1.7551 0.0000 15.7166 Al
5.0823 5.7811 2.8877 Al
3.9134 -3.8504 4.4407 Al
6.9360 2.3644 17.7629 Al
3.0501 2.2614 14.8752 Al
6.8936 4.2391 4.4407 Al
7.9812 -2.2615 2.8877 Al
4.6381 -8.0334 15.7166 Al
4.0953 -2.3644 17.7629 Al
3.4836 -1.5109 2.8877 Al
3.4836 1.5108 5.9938 Al
3.0502 -2.2614 11.7692 Al
10.1538 -1.5199 10.9280 Al
9.2762 0.0000 6.8352 Al
7.5478 1.5108 11.7692 Al
4.0952 2.3644 8.8815 Al
5.5157 3.1844 2.2198 Al
5.5157 -3.1845 6.6617 Al
8.2140 0.0000 17.2366 Al
8.2140 0.0000 9.4079 Al
6.9361 2.3644 8.8815 Al
5.9490 5.7812 11.7692 Al
4.6381 8.0334 15.7166 Al
4.1070 7.1136 8.3552 Al
5.9491 -5.7812 14.8752 Al
1.4087 -2.4399 17.2366 Al
7.9811 -2.2614 5.9938 Al
7.9811 2.2614 5.9938 Al
7.1181 3.8504 13.3222 Al
5.5157 3.1845 11.1014 Al
4.6996 -8.1399 4.4407 Al
7.5478 -1.5108 14.8752 Al
3.0501 -2.2614 14.8752 Al
5.5157 3.1845 15.5431 Al
2.9278 -5.0710 10.5879 Dy
5.8555 0.0000 1.7061 Dy
2.9278 5.0710 10.5879 Dy
2.5879 4.4824 7.1753 Dy
5.8555 0.0000 7.1753 Dy
2.5879 4.4824 1.7061 Dy
2.5879 -4.4824 1.7061 Dy
2.9278 -5.0710 16.0567 Dy
5.1758 0.0000 10.5879 Dy
5.1758 0.0000 16.0567 Dy
2.5879 -4.4824 7.1753 Dy
2.9278 5.0710 16.0567 Dy
8.0125 0.0000 4.4407 Nb
1.5094 -2.6144 4.4407 Nb
0.0000 0.0000 17.7629 Nb
1.5094 2.6144 4.4407 Nb
3.0187 0.0000 13.3223 Nb
9.5219 -2.6143 13.3223 Nb
9.5219 2.6143 13.3223 Nb
0.0000 0.0000 8.8816 Nb
```

Values from the calculation:
formation enthalpy at 0 K = -19.4 eV per formula unit
electronic total energy = -0.4158 hartree per atom

=====

[5]
A plane-wave DFT calculation with r²SCAN was carried out for a geometry-optimized Na15Sn4 structure.

Structure (POSCAR):
```
Na15Sn4
1.0
1.1142 2.2460 -10.9983
-1.1563 -11.1247 1.4677
-9.1192 5.2901 4.0131
Na Sn
30 8
Cartesian
-3.4170 1.2493 -3.8860 Na
-7.6093 6.0571 -3.8959 Na
-7.1497 -4.4023 0.3666 Na
-0.5984 -0.2116 -2.5375 Na
-5.3991 1.3988 -7.4431 Na
-1.9036 -3.9519 -3.0160 Na
-8.7072 -3.4339 3.2374 Na
-3.8638 -4.4076 -0.3274 Na
-5.5707 1.3674 -1.2493 Na
-9.1780 -1.3688 0.6312 Na
-2.1306 1.0309 -7.6569 Na
-2.6593 -7.4545 -1.2603 Na
-6.9520 2.1342 -4.2129 Na
-3.0204 -4.4388 -6.4659 Na
-7.7516 1.5111 1.3637 Na
-5.1246 -6.9946 1.4037 Na
-7.3366 -6.4504 3.7861 Na
-1.2773 -2.2816 -0.0639 Na
-2.0170 -1.4455 -5.3203 Na
-5.5463 -4.1686 -3.2798 Na
-2.4962 0.7807 -0.0318 Na
-5.4215 -1.5060 -5.2187 Na
-6.0089 4.5423 -6.4303 Na
-7.7315 3.9353 -1.3765 Na
-3.8918 -7.2645 -4.3114 Na
-0.0584 -5.4840 -8.9269 Na
-1.3160 -7.3883 -6.4629 Na
-1.0322 -2.3808 -8.3918 Na
-7.1460 -1.4208 -2.4109 Na
-5.1032 -1.3805 0.6241 Na
-0.1918 1.5575 -5.1696 Sn
-4.7514 4.2025 -3.1631 Sn
-5.2327 -3.8309 2.8609 Sn
-3.8282 -1.4996 -2.3057 Sn
0.0705 -4.2549 -5.6686 Sn
-0.4866 -5.3779 -0.1694 Sn
-4.6545 1.7314 2.1271 Sn
-8.4089 -3.2938 -5.0644 Sn
```

Values from the calculation:
formation enthalpy at 0 K = -4.0 eV per formula unit
electronic total energy = -0.3026 hartree per atom

=====

[6]
A plane-wave DFT calculation with r²SCAN was carried out for a geometry-optimized SrSe2O5 structure.

Structure (POSCAR):
```
SrSe2O5
1.0
-1.0073 6.3613 -2.5529
-6.0448 1.6461 3.0764
4.5831 5.7380 8.0547
O Se Sr
20 8 4
Cartesian
-0.6640 4.9985 4.5799 O
0.9311 3.9189 2.1181 O
-3.7839 2.6666 1.8510 O
1.3148 11.0788 6.7272 O
-4.3886 7.8547 4.1272 O
-3.4002 9.8266 6.4601 O
-0.7758 10.2466 8.8640 O
-3.6208 5.5262 3.0162 O
-1.6455 6.2540 1.1801 O
1.1517 8.2192 5.5620 O
-1.2881 12.2023 6.7727 O
-0.8236 7.4914 7.3981 O
-1.9266 7.9652 9.8155 O
-1.8051 8.7469 3.9983 O
-1.6933 3.4988 -0.2857 O
0.9440 4.8307 6.7081 O
-0.5425 5.7803 -1.2373 O
-1.1810 1.5431 1.8055 O
-3.4131 8.9147 1.8701 O
1.9196 5.8907 4.4510 O
2.7233 10.2091 6.4238 Se
-5.1923 3.5364 2.1544 Se
0.8430 4.4988 5.0690 Se
-1.5834 6.6371 8.6039 Se
-3.7159 6.1986 4.5673 Se
-0.8857 7.1083 -0.0257 Se
1.2468 7.5468 4.0109 Se
-3.3121 9.2466 3.5092 Se
-4.1908 6.7948 0.7845 Sr
-1.5688 4.0438 2.3537 Sr
-0.9003 9.7016 6.2245 Sr
1.7218 6.9506 7.7937 Sr
```

Values from the calculation:
formation enthalpy at 0 K = -12.7 eV per formula unit
electronic total energy = -0.3967 hartree per atom